(1)
Material: Sc7Mn6Ge8
Method: DFT, GGA-PBE
State: optimized geometry

abc: 9.971 9.971 14.086
angles: 90.00 90.00 90.00
Space group I4/mmm (No. 139)
One atom of each set of equivalent atoms:
Sc: 0.000 0.000 0.158 x4
Sc: 0.000 0.252 0.309 x16
Sc: 0.178 0.178 0.500 x8
Mn: 0.000 0.320 0.094 x16
Mn: 0.125 0.125 0.000 x8
Ge: 0.000 0.000 0.389 x4
Ge: 0.000 0.375 0.500 x8
Ge: 0.000 0.500 0.250 x4
Ge: 0.204 0.204 0.164 x16

Values from the calculation:
The energy relative to the elements is -0.54 eV per atom. For the size of the total moment, the calculation gives 11.71 μB per formula unit.

=====

(2)
Material: ScMnGe2
Method: DFT, GGA-PBE
State: optimized geometry

abc: 9.309 10.159 8.107
angles: 90.00 90.00 90.00
Space group Pbam (No. 55)
One atom of each set of equivalent atoms:
Sc: 0.164 0.180 0.000 x4
Sc: 0.172 0.453 0.242 x8
Mn: 0.000 0.000 0.247 x4
Mn: 0.085 0.751 0.251 x8
Ge: 0.041 0.622 0.000 x4
Ge: 0.042 0.622 0.500 x4
Ge: 0.125 0.905 0.500 x4
Ge: 0.130 0.899 0.000 x4
Ge: 0.164 0.182 0.340 x8

Values from the calculation:
The energy relative to the elements is -0.53 eV per atom.

=====

(3)
Material: ScMn6Sn4Ge2
Method: DFT, GGA-PBE
State: optimized geometry

abc: 5.2989 5.2989 8.6061
angles: 90.00 90.00 120.00
Space group P6/mmm (No. 191)
One atom of each set of equivalent atoms:
Sc: 0.0000 0.0000 0.0000 x1
Mn: 0.0000 0.5000 0.2316 x6
Sn: 0.0000 0.0000 0.3303 x2
Sn: 0.3333 0.6667 0.5000 x2
Ge: 0.3333 0.6667 0.0000 x2

Values from the calculation:
The energy relative to the elements is -0.22 eV per atom. For the size of the total moment, the calculation gives 12.38 μB per formula unit.

=====

(4)
Material: SmMnGe
Method: DFT, GGA-PBE
State: optimized geometry

abc: 7.305 4.253 7.881
angles: 90.00 90.00 90.00
Space group Pnma (No. 62)
One atom of each set of equivalent atoms:
Sm: 0.013 0.250 0.183 x4
Mn: 0.133 0.250 0.555 x4
Ge: 0.219 0.750 0.386 x4

Values from the calculation:
The energy relative to the elements is -0.45 eV per atom. For the size of the total moment, the calculation gives 3.25 μB per formula unit.

=====

(5)
Material: SmMnGe2
Method: DFT, GGA-PBE
State: optimized geometry

abc: 4.412 16.139 4.472
angles: 90.00 90.00 90.00
Space group Cmcm (No. 63)
One atom of each set of equivalent atoms:
Sm: 0.000 0.104 0.250 x4
Mn: 0.000 0.308 0.250 x4
Ge: 0.000 0.253 0.750 x4
Ge: 0.000 0.455 0.250 x4

Values from the calculation:
The energy relative to the elements is -0.46 eV per atom. For the size of the total moment, the calculation gives 2.39 μB per formula unit.

=====

(6)
Material: SmYMn4Ge4
Method: DFT, GGA-PBE
State: optimized geometry

abc: 3.968 3.968 10.874
angles: 90.00 90.00 90.00
Space group P4/mmm (No. 123)
One atom of each set of equivalent atoms:
Sm: 0.000 0.000 0.000 x1
Y: 0.500 0.500 0.500 x1
Mn: 0.000 0.500 0.251 x4
Ge: 0.000 0.000 0.380 x2
Ge: 0.500 0.500 0.122 x2

Values from the calculation:
The energy relative to the elements is -0.48 eV per atom. For the size of the total moment, the calculation gives 7.71 μB per formula unit.

=====

(7)
Material: TmMn6Sn4Ge2
Method: DFT, GGA-PBE
State: optimized geometry

abc: 5.3380 5.3380 8.6413
angles: 90.00 90.00 120.00
Space group P6/mmm (No. 191)
One atom of each set of equivalent atoms:
Tm: 0.0000 0.0000 0.0000 x1
Mn: 0.0000 0.5000 0.2326 x6
Sn: 0.0000 0.0000 0.3339 x2
Sn: 0.3333 0.6667 0.5000 x2
Ge: 0.3333 0.6667 0.0000 x2

Values from the calculation:
The energy relative to the elements is -0.22 eV per atom. For the size of the total moment, the calculation gives 12.45 μB per formula unit.

=====

(8)
Material: SrMnGe
Method: DFT, GGA-PBE
State: optimized geometry

abc: 4.478 4.478 7.321
angles: 90.00 90.00 90.00
Space group P4/nmm (No. 129, origin choice 2)
One atom of each set of equivalent atoms:
Sr: 0.250 0.250 0.175 x2
Mn: 0.250 0.750 0.500 x2
Ge: 0.250 0.250 0.684 x2

Values from the calculation:
The energy relative to the elements is -0.27 eV per atom. For the size of the total moment, the calculation gives 3.84 μB per formula unit.

=====

(9)
Material: TaMnGe
Method: DFT, GGA-PBE
State: optimized geometry

abc: 6.5564 6.5564 3.6160
angles: 90.00 90.00 120.00
Space group P-62m (No. 189)
One atom of each set of equivalent atoms:
Ta: 0.0000 0.4155 0.0000 x3
Mn: 0.0000 0.7501 0.5000 x3
Ge: 0.0000 0.0000 0.0000 x1
Ge: 0.3333 0.6667 0.5000 x2

Values from the calculation:
The energy relative to the elements is -0.26 eV per atom.

=====

(10)
Material: TaMnGe
Method: DFT, GGA-PBE
State: optimized geometry

abc: 6.992 12.120 6.971
angles: 90.00 90.00 90.00
Space group Ima2 (No. 46)
One atom of each set of equivalent atoms:
Ta: 0.000 0.000 0.000 x4
Ta: 0.047 0.133 0.389 x8
Mn: 0.250 0.180 0.068 x4
Mn: 0.250 0.513 0.151 x4
Mn: 0.250 0.706 0.545 x4
Ge: 0.001 0.666 0.257 x8
Ge: 0.250 0.536 0.767 x4

Values from the calculation:
The energy relative to the elements is 0.04 eV per atom. For the size of the total moment, the calculation gives 2.80 μB per formula unit.

=====

(11)
Material: TbMnGe
Method: DFT, GGA-PBE
State: optimized geometry

abc: 7.107 4.125 7.962
angles: 90.00 90.00 90.00
Space group Pnma (No. 62)
One atom of each set of equivalent atoms:
Tb: 0.023 0.250 0.181 x4
Mn: 0.133 0.250 0.555 x4
Ge: 0.223 0.750 0.382 x4

Values from the calculation:
The energy relative to the elements is -0.49 eV per atom. For the size of the total moment, the calculation gives 2.84 μB per formula unit.

=====

(12)
Material: TbMn6Ge6
Method: DFT, GGA-PBE
State: optimized geometry

abc: 5.0786 5.0786 8.1598
angles: 90.00 90.00 120.00
Space group P6/mmm (No. 191)
One atom of each set of equivalent atoms:
Tb: 0.0000 0.0000 0.0000 x1
Mn: 0.0000 0.5000 0.2503 x6
Ge: 0.0000 0.0000 0.3467 x2
Ge: 0.3333 0.6667 0.0000 x2
Ge: 0.3333 0.6667 0.5000 x2

Values from the calculation:
The energy relative to the elements is -0.30 eV per atom.

=====

(13)
Material: TbMn2Ge2
Method: DFT, GGA-PBE
State: optimized geometry

abc: 3.948 3.948 10.872
angles: 90.00 90.00 90.00
Space group I4/mmm (No. 139)
One atom of each set of equivalent atoms:
Tb: 0.000 0.000 0.000 x2
Mn: 0.000 0.500 0.250 x4
Ge: 0.000 0.000 0.380 x4

Values from the calculation:
The energy relative to the elements is -0.49 eV per atom.

=====

(14)
Material: MnGeTe2
Method: DFT, GGA-PBE
State: optimized geometry

abc: 4.0012 4.0012 19.5446
angles: 90.00 90.00 120.00
Space group R-3m (No. 166, hexagonal axes)
One atom of each set of equivalent atoms:
Mn: 0.0000 0.0000 0.0000 x3
Ge: 0.0000 0.0000 0.5000 x3
Te: 0.0000 0.0000 0.2632 x6

Values from the calculation:
The energy relative to the elements is -0.13 eV per atom. For the size of the total moment, the calculation gives 4.46 μB per formula unit. The value obtained for the total energy after the MP2020 corrections is -5.150 eV per atom.

=====

(15)
Material: MnGeTe2
Method: DFT, GGA-PBE
State: optimized geometry

abc: 4.168 4.168 5.950
angles: 90.00 90.00 90.00
Space group P4/mmm (No. 123)
One atom of each set of equivalent atoms:
Mn: 0.000 0.000 0.000 x1
Ge: 0.500 0.500 0.500 x1
Te: 0.000 0.000 0.500 x1
Te: 0.500 0.500 0.000 x1

Values from the calculation:
The energy relative to the elements is -0.26 eV per atom. For the size of the total moment, the calculation gives 5.00 μB per formula unit. The value obtained for the total energy after the MP2020 corrections is -5.282 eV per atom.

=====

(16)
Material: TiMnGe2
Method: DFT, GGA-PBE
State: optimized geometry

abc: 8.992 9.912 7.967
angles: 90.00 90.00 90.00
Space group Pbam (No. 55)
One atom of each set of equivalent atoms:
Ti: 0.164 0.178 0.000 x4
Ti: 0.169 0.453 0.242 x8
Mn: 0.000 0.000 0.243 x4
Mn: 0.088 0.751 0.248 x8
Ge: 0.040 0.620 0.000 x4
Ge: 0.046 0.620 0.500 x4
Ge: 0.134 0.904 0.500 x4
Ge: 0.139 0.899 0.000 x4
Ge: 0.165 0.184 0.337 x8

Values from the calculation:
The energy relative to the elements is -0.42 eV per atom. For the size of the total moment, the calculation gives 1.51 μB per formula unit.

=====

(17)
Material: TiMnGe
Method: DFT, GGA-PBE
State: optimized geometry

abc: 7.296 11.078 6.434
angles: 90.00 90.00 90.00
Space group Ima2 (No. 46)
One atom of each set of equivalent atoms:
Ti: 0.250 0.001 0.000 x4
Ti: 0.250 0.229 0.348 x4
Ti: 0.250 0.698 0.890 x4
Mn: 0.000 0.000 0.345 x4
Mn: 0.040 0.621 0.202 x8
Ge: 0.005 0.667 0.580 x8
Ge: 0.250 0.036 0.593 x4

Values from the calculation:
The energy relative to the elements is -0.50 eV per atom. For the size of the total moment, the calculation gives 1.33 μB per formula unit.